Li22Pb5 after structural relaxation, computed with PBE.

CIF file:
```
data_Li22Pb5
_cell_length_a 20.0351
_cell_length_b 20.0351
_cell_length_c 20.0351
_cell_angle_alpha 90.00
_cell_angle_beta 90.00
_cell_angle_gamma 90.00
_symmetry_space_group_name_H-M 'F -4 3 m'
_symmetry_Int_Tables_number 216
_symmetry_space_group_name_Hall 'F -4 2 3'
loop_
_atom_site_label
_atom_site_fract_x
_atom_site_fract_y
_atom_site_fract_z
Li1 0.0000 0.0000 0.0000
Li2 0.0000 0.0000 0.1705
Li3 0.0000 0.0000 0.5000
Li4 0.0039 0.1641 0.8359
Li5 0.0062 0.1596 0.3404
Li6 0.0761 0.0761 0.9239
Li7 0.0766 0.0766 0.4234
Li8 0.0780 0.2500 0.7500
Li9 0.0833 0.0833 0.5833
Li10 0.0881 0.0881 0.7419
Li11 0.0886 0.0886 0.2439
Li12 0.1684 0.1684 0.1684
Li13 0.1707 0.1707 0.3293
Li14 0.1759 0.1759 0.6759
Li15 0.2500 0.2500 0.2500
Li16 0.2500 0.2500 0.7500
Pb1 0.0000 0.0000 0.3249
Pb2 0.0742 0.2500 0.2500
Pb3 0.0836 0.0836 0.0836
Pb4 0.1619 0.1619 0.8381
```

Values from the calculation:
The value obtained for the volume is 8042.2 Å³ per cell. Its formation enthalpy at 0 K is -7.3 eV/f.u.